Entry from Materials Project: Li3Ti3VO8 after structural relaxation (PBE+U).

Geometry as POSCAR:
```
Li3Ti3VO8
1.0
6.0516 0.0000 0.0000
0.0000 5.9678 0.0000
-0.1810 0.0000 8.4452
Li Ti V O
6 6 2 16
Direct
0.0000 0.0000 0.0000 Li
0.2500 0.2499 0.2501 Li
0.2500 0.7501 0.2501 Li
0.5000 0.5000 0.5000 Li
0.7500 0.2499 0.7499 Li
0.7500 0.7501 0.7499 Li
0.0000 0.5000 0.5000 Ti
0.2497 0.2493 0.7493 Ti
0.2497 0.7507 0.7493 Ti
0.5000 0.0000 0.0000 Ti
0.7503 0.2493 0.2507 Ti
0.7503 0.7507 0.2507 Ti
0.0000 0.0000 0.5000 V
0.5000 0.5000 0.0000 V
0.0168 0.5000 0.7368 O
0.0176 0.0000 0.7514 O
0.2326 0.2663 0.5126 O
0.2326 0.7337 0.5126 O
0.2688 0.2342 0.9869 O
0.2688 0.7658 0.9869 O
0.4808 0.5000 0.7497 O
0.4832 0.0000 0.7631 O
0.5168 0.0000 0.2369 O
0.5192 0.5000 0.2503 O
0.7312 0.2342 0.0131 O
0.7312 0.7658 0.0131 O
0.7674 0.2663 0.4874 O
0.7674 0.7337 0.4874 O
0.9824 0.0000 0.2486 O
0.9832 0.5000 0.2632 O
```

Results
**Symmetry**: No. 10
**Formation energy from the elements**: -44.16 eV per formula unit
**Distance to the lowest polymorph of the same formula**: 0.0 meV/atom